Here is an optimized crystal structure of Li2Fe3CuO8 from the Materials Project database. Energies are from PBE with a Hubbard U.

Geometry as POSCAR:
```
Li2Fe3CuO8
1.0
5.114 1.544 -2.492
1.644 -5.627 0.012
1.568 -2.580 -5.155
Li Fe Cu O
2 3 1 8
Direct
0.500 0.000 0.000
0.500 0.500 0.500
0.000 0.000 0.500
0.000 0.500 0.000
0.000 0.500 0.500
0.000 0.000 0.000
0.212 0.223 0.024
0.210 0.755 0.024
0.216 0.261 0.514
0.216 0.726 0.523
0.784 0.274 0.477
0.784 0.739 0.486
0.790 0.245 0.976
0.788 0.777 0.976
```

Output
Energy relative to the lowest polymorph listed for this composition: 40 meV/atom
SG: No. 2
Calculated formation energy: -1.500 eV/atom

---

Here is an optimized crystal structure of Li4Fe5Cu3O16 from the Materials Project database. Energies are from PBE with a Hubbard U.

Geometry as POSCAR:
```
Li4Fe5Cu3O16
1.0
-5.877 0.188 0.628
2.944 -4.747 1.739
0.921 3.749 8.683
Li Fe Cu O
4 5 3 16
Direct
0.320 0.660 0.895
0.000 0.000 0.997
0.013 0.006 0.493
0.674 0.337 0.393
0.342 0.671 0.491
0.657 0.829 0.214
0.656 0.328 0.991
0.831 0.662 0.716
0.831 0.169 0.716
0.169 0.829 0.213
0.169 0.340 0.213
0.342 0.171 0.711
0.167 0.834 0.596
0.045 0.522 0.341
0.323 0.661 0.107
0.009 0.004 0.303
0.015 0.008 0.808
0.167 0.333 0.596
0.493 0.966 0.343
0.494 0.528 0.343
0.319 0.160 0.099
0.679 0.839 0.600
0.515 0.482 0.843
0.514 0.033 0.843
0.663 0.332 0.604
0.816 0.665 0.099
0.961 0.480 0.842
0.816 0.151 0.099
```

Output
SG: No. 8
Calculated formation energy: -1.441 eV/atom

---

Here is an optimized crystal structure of Li2Fe3CuO8 from the Materials Project database. Energies are from PBE with a Hubbard U.

Geometry as POSCAR:
```
Li2Fe3CuO8
1.0
8.412 0.000 0.000
0.000 8.412 0.000
0.000 0.000 8.412
Li Fe Cu O
8 12 4 32
Direct
0.004 0.004 0.004
0.246 0.246 0.246
0.254 0.754 0.746
0.496 0.996 0.504
0.504 0.496 0.996
0.746 0.254 0.754
0.754 0.746 0.254
0.996 0.504 0.496
0.125 0.125 0.625
0.125 0.375 0.875
0.125 0.625 0.125
0.375 0.375 0.625
0.375 0.625 0.375
0.375 0.875 0.125
0.625 0.375 0.375
0.625 0.125 0.125
0.625 0.875 0.875
0.875 0.125 0.375
0.875 0.875 0.625
0.875 0.625 0.875
0.125 0.875 0.375
0.375 0.125 0.875
0.625 0.625 0.625
0.875 0.375 0.125
0.118 0.104 0.387
0.113 0.882 0.604
0.115 0.615 0.885
0.146 0.132 0.863
0.104 0.387 0.118
0.135 0.365 0.635
0.137 0.646 0.368
0.132 0.863 0.146
0.368 0.137 0.646
0.363 0.354 0.868
0.365 0.635 0.135
0.396 0.613 0.618
0.354 0.868 0.363
0.385 0.385 0.385
0.387 0.118 0.104
0.382 0.896 0.887
0.618 0.396 0.613
0.613 0.618 0.396
0.615 0.885 0.115
0.646 0.368 0.137
0.604 0.113 0.882
0.635 0.135 0.365
0.637 0.854 0.632
0.632 0.637 0.854
0.868 0.363 0.354
0.863 0.146 0.132
0.865 0.865 0.865
0.896 0.887 0.382
0.854 0.632 0.637
0.885 0.115 0.615
0.887 0.382 0.896
0.882 0.604 0.113
```

Output
Energy relative to the lowest polymorph listed for this composition: 0 meV/atom
SG: No. 212
Calculated formation energy: -1.540 eV/atom

---

Here is an optimized crystal structure of Li2Fe3CuO8 from the Materials Project database. Energies are from PBE with a Hubbard U.

Geometry as POSCAR:
```
Li2Fe3CuO8
1.0
5.163 1.569 -2.518
1.651 -5.689 0.001
1.650 -2.593 -5.066
Li Fe Cu O
2 3 1 8
Direct
0.500 0.000 0.000
0.500 0.500 0.500
0.000 0.000 0.500
0.000 0.500 0.000
0.000 0.500 0.500
0.000 0.000 0.000
0.212 0.228 0.017
0.210 0.738 0.042
0.210 0.252 0.528
0.221 0.738 0.517
0.779 0.262 0.483
0.790 0.748 0.472
0.790 0.262 0.958
0.788 0.772 0.983
```

Output
Energy relative to the lowest polymorph listed for this composition: 48 meV/atom
SG: No. 12
Calculated formation energy: -1.492 eV/atom

---

Here is an optimized crystal structure of Li2Fe3CuO8 from the Materials Project database. Energies are from PBE with a Hubbard U.

Geometry as POSCAR:
```
Li2Fe3CuO8
1.0
8.393 -0.001 0.004
-0.001 8.418 0.001
0.004 0.001 8.352
Li Fe Cu O
8 12 4 32
Direct
0.121 0.877 0.377
0.250 0.752 0.747
0.249 0.251 0.247
0.378 0.122 0.879
0.623 0.623 0.621
0.750 0.749 0.251
0.750 0.253 0.751
0.877 0.379 0.123
0.120 0.624 0.124
0.123 0.376 0.880
0.124 0.120 0.624
0.376 0.880 0.123
0.376 0.624 0.380
0.380 0.377 0.624
0.620 0.876 0.876
0.624 0.124 0.120
0.625 0.381 0.376
0.876 0.620 0.876
0.877 0.875 0.620
0.880 0.124 0.375
0.997 0.501 0.498
0.504 0.497 0.998
0.496 0.995 0.503
0.003 0.002 0.003
0.103 0.126 0.387
0.108 0.895 0.628
0.114 0.615 0.884
0.126 0.393 0.105
0.119 0.143 0.869
0.137 0.362 0.639
0.136 0.620 0.360
0.140 0.860 0.119
0.358 0.136 0.619
0.363 0.382 0.860
0.361 0.635 0.139
0.379 0.856 0.365
0.372 0.610 0.603
0.384 0.387 0.384
0.393 0.106 0.129
0.396 0.872 0.889
0.606 0.374 0.607
0.608 0.606 0.371
0.616 0.885 0.114
0.627 0.112 0.896
0.622 0.360 0.138
0.640 0.137 0.361
0.638 0.879 0.641
0.643 0.633 0.882
0.860 0.363 0.380
0.862 0.121 0.139
0.862 0.860 0.863
0.880 0.641 0.636
0.873 0.891 0.395
0.885 0.114 0.615
0.891 0.397 0.873
0.896 0.627 0.111
```

Output
Energy relative to the lowest polymorph listed for this composition: 42 meV/atom
SG: No. 1
Calculated formation energy: -1.498 eV/atom

---

Here is an optimized crystal structure of Li4Fe2Cu3O10 from the Materials Project database. Energies are from PBE with a Hubbard U.

Geometry as POSCAR:
```
Li4Fe2Cu3O10
1.0
5.021 0.000 0.000
-1.566 5.274 0.000
-1.730 -2.210 7.120
Li Fe Cu O
4 2 3 10
Direct
0.218 0.904 0.398
0.394 0.294 0.772
0.606 0.706 0.228
0.782 0.096 0.602
0.094 0.678 0.687
0.906 0.322 0.313
0.000 0.500 0.000
0.696 0.891 0.902
0.304 0.109 0.098
0.051 0.053 0.854
0.338 0.658 0.916
0.113 0.309 0.538
0.450 0.915 0.685
0.212 0.519 0.237
0.788 0.481 0.763
0.550 0.085 0.315
0.887 0.691 0.462
0.662 0.342 0.084
0.949 0.947 0.146
```

Output
SG: No. 2
Calculated formation energy: -1.454 eV/atom

---

Here is an optimized crystal structure of Li4Fe3CuO8 from the Materials Project database. Energies are from PBE with a Hubbard U.

Geometry as POSCAR:
```
Li4Fe3CuO8
1.0
-0.352 5.405 -2.514
-5.117 3.076 0.144
-0.496 4.889 3.394
Li Fe Cu O
4 3 1 8
Direct
0.000 0.500 0.000
0.000 0.000 0.500
0.500 0.500 0.500
0.500 0.000 0.000
0.500 0.500 0.000
0.500 0.000 0.500
0.000 0.500 0.500
0.000 0.000 0.000
0.257 0.257 0.257
0.742 0.244 0.244
0.756 0.258 0.756
0.756 0.756 0.258
0.244 0.244 0.742
0.244 0.742 0.244
0.258 0.756 0.756
0.743 0.743 0.743
```

Output
SG: No. 166
Calculated formation energy: -1.785 eV/atom

---

Here is an optimized crystal structure of Li4FeCu3O8 from the Materials Project database. Energies are from PBE with a Hubbard U.

Geometry as POSCAR:
```
Li4FeCu3O8
1.0
-2.267 5.404 -0.706
-0.646 3.588 4.642
3.431 4.768 0.579
Li Fe Cu O
4 1 3 8
Direct
0.500 0.500 0.500
0.500 0.000 0.000
0.000 0.000 0.500
0.000 0.500 0.000
0.000 0.000 0.000
0.000 0.500 0.500
0.500 0.500 0.000
0.500 0.000 0.500
0.743 0.743 0.743
0.744 0.244 0.244
0.244 0.244 0.744
0.257 0.257 0.257
0.244 0.744 0.244
0.256 0.756 0.756
0.756 0.756 0.256
0.756 0.256 0.756
```

Output
SG: No. 166
Calculated formation energy: -1.517 eV/atom

---

Here is an optimized crystal structure of Li2FeCuO4 from the Materials Project database. Energies are from PBE with a Hubbard U.

Geometry as POSCAR:
```
Li2FeCuO4
1.0
5.131 -0.230 0.000
2.039 4.714 0.000
0.000 0.000 5.829
Li Fe Cu O
4 2 2 8
Direct
0.000 0.500 0.250
0.500 0.000 0.750
0.500 0.500 0.000
0.000 0.000 0.500
0.500 0.500 0.500
0.000 0.000 0.000
0.500 0.000 0.250
0.000 0.500 0.750
0.271 0.771 0.250
0.771 0.271 0.750
0.729 0.229 0.250
0.229 0.729 0.750
0.236 0.236 0.000
0.736 0.736 0.500
0.764 0.764 0.000
0.264 0.264 0.500
```

Output
Energy relative to the lowest polymorph listed for this composition: 0 meV/atom
Calculated formation energy: -1.688 eV/atom

---

Here is an optimized crystal structure of Li2FeCuO4 from the Materials Project database. Energies are from PBE with a Hubbard U.

Geometry as POSCAR:
```
Li2FeCuO4
1.0
5.918 -0.174 -0.005
0.186 5.918 -0.005
-3.055 -2.874 4.197
Li Fe Cu O
4 2 2 8
Direct
0.000 0.500 0.500
0.500 0.500 0.500
0.500 0.000 0.000
0.500 0.500 0.000
0.000 0.500 0.000
0.500 0.000 0.500
0.000 0.000 0.500
0.000 0.000 0.000
0.245 0.755 0.013
0.242 0.231 0.488
0.245 0.755 0.487
0.769 0.758 0.012
0.231 0.242 0.988
0.755 0.245 0.513
0.758 0.769 0.512
0.755 0.245 0.987
```

Output
Energy relative to the lowest polymorph listed for this composition: 33 meV/atom
SG: No. 15
Calculated formation energy: -1.655 eV/atom

---

Here is an optimized crystal structure of Li2Fe2CuO6 from the Materials Project database. Energies are from PBE with a Hubbard U.

Geometry as POSCAR:
```
Li2Fe2CuO6
1.0
-0.669 -6.393 -1.496
6.209 -1.812 1.696
-0.375 -4.503 7.173
Li Fe Cu O
6 6 3 18
Direct
0.009 0.334 0.164
0.014 0.664 0.832
0.334 0.997 0.169
0.331 0.673 0.497
0.657 0.331 0.502
0.652 0.006 0.837
0.997 0.669 0.335
0.000 0.328 0.666
0.666 0.337 0.000
0.669 0.996 0.331
0.000 0.004 0.999
0.670 0.666 0.668
0.333 0.331 0.333
0.331 0.001 0.666
0.336 0.668 0.001
0.033 0.674 0.077
0.016 0.350 0.412
0.024 0.008 0.755
0.341 0.350 0.102
0.356 0.003 0.414
0.675 0.019 0.081
0.311 0.660 0.250
0.326 0.311 0.564
0.649 0.314 0.254
0.343 0.697 0.749
0.676 0.677 0.428
0.682 0.342 0.751
0.324 0.977 0.921
0.635 0.994 0.589
0.642 0.659 0.913
0.989 0.989 0.240
0.995 0.646 0.584
0.985 0.327 0.915
```

Output
SG: No. 1
Calculated formation energy: -1.548 eV/atom

---

Here is an optimized crystal structure of Li2Fe3CuO8 from the Materials Project database. Energies are from PBE with a Hubbard U.

Geometry as POSCAR:
```
Li2Fe3CuO8
1.0
-1.725 -3.921 7.200
5.980 -5.684 -1.664
5.608 4.723 3.906
Li Fe Cu O
8 12 4 32
Direct
0.121 0.876 0.376
0.249 0.753 0.748
0.249 0.250 0.247
0.378 0.122 0.879
0.624 0.623 0.622
0.751 0.749 0.250
0.752 0.252 0.751
0.877 0.379 0.123
0.122 0.624 0.122
0.122 0.376 0.880
0.124 0.120 0.624
0.376 0.879 0.122
0.376 0.623 0.378
0.379 0.376 0.624
0.621 0.875 0.878
0.623 0.124 0.120
0.625 0.381 0.377
0.878 0.622 0.878
0.878 0.875 0.621
0.880 0.124 0.376
0.997 0.502 0.499
0.505 0.497 0.996
0.495 0.996 0.504
0.003 0.001 0.003
0.104 0.126 0.386
0.107 0.893 0.629
0.113 0.616 0.884
0.126 0.398 0.107
0.120 0.145 0.870
0.133 0.364 0.640
0.139 0.619 0.356
0.139 0.855 0.119
0.357 0.136 0.620
0.362 0.382 0.861
0.362 0.633 0.138
0.378 0.853 0.364
0.372 0.612 0.601
0.382 0.390 0.383
0.393 0.106 0.130
0.395 0.871 0.888
0.609 0.374 0.604
0.603 0.609 0.372
0.616 0.883 0.113
0.627 0.112 0.897
0.624 0.362 0.141
0.639 0.134 0.362
0.640 0.879 0.643
0.648 0.633 0.882
0.861 0.363 0.378
0.861 0.121 0.139
0.864 0.860 0.865
0.880 0.641 0.640
0.873 0.889 0.396
0.885 0.113 0.617
0.890 0.400 0.873
0.897 0.627 0.108
```

Output
Energy relative to the lowest polymorph listed for this composition: 44 meV/atom
SG: No. 1
Calculated formation energy: -1.496 eV/atom